# 1
Material: CaGeP2O8
Method: DFT, PBE-GGA
State: optimized geometry

```
CaGeP2O8
1.0
2.586 7.971 0.000
-2.586 7.971 0.000
0.000 3.541 6.995
Ca Ge P O
2 2 4 16
Direct
0.784 0.216 0.750
0.216 0.784 0.250
0.000 0.500 0.500
0.500 0.000 0.000
0.605 0.112 0.253
0.888 0.395 0.247
0.395 0.888 0.747
0.112 0.605 0.753
0.839 0.856 0.382
0.144 0.161 0.118
0.161 0.144 0.618
0.856 0.839 0.882
0.345 0.357 0.372
0.643 0.655 0.128
0.655 0.643 0.628
0.357 0.345 0.872
0.519 0.029 0.209
0.971 0.481 0.291
0.481 0.971 0.791
0.029 0.519 0.709
0.716 0.196 0.087
0.804 0.284 0.413
0.284 0.804 0.913
0.196 0.716 0.587
```

Results
* raw total energy: -169.46 eV/cell
* symmetry: C2/c, No. 15
* total magnetic moment: 0.00 Bohr magnetons per cell
* energy relative to the elements: -266.8 kJ per mole of atoms

# 2
Material: CaGeS3O12
Method: DFT, PBE-GGA
State: optimized geometry

```
CaGeS3O12
1.0
8.874 0.000 0.000
-4.437 7.685 0.000
0.000 0.000 21.486
Ca Ge S O
6 6 18 72
Direct
0.000 0.000 0.373
0.000 0.000 0.873
0.667 0.333 0.706
0.667 0.333 0.206
0.333 0.667 0.039
0.333 0.667 0.539
0.000 0.000 0.648
0.000 0.000 0.148
0.667 0.333 0.981
0.667 0.333 0.481
0.333 0.667 0.314
0.333 0.667 0.814
0.258 0.954 0.251
0.695 0.742 0.251
0.046 0.305 0.251
0.258 0.305 0.751
0.046 0.742 0.751
0.695 0.954 0.751
0.925 0.287 0.584
0.362 0.075 0.584
0.713 0.638 0.584
0.925 0.638 0.084
0.713 0.075 0.084
0.362 0.287 0.084
0.592 0.620 0.917
0.029 0.408 0.917
0.380 0.971 0.917
0.592 0.971 0.417
0.380 0.408 0.417
0.029 0.620 0.417
0.185 0.987 0.305
0.802 0.815 0.305
0.013 0.198 0.305
0.185 0.198 0.805
0.013 0.815 0.805
0.802 0.987 0.805
0.780 0.922 0.693
0.142 0.220 0.693
0.078 0.858 0.693
0.780 0.858 0.193
0.078 0.220 0.193
0.142 0.922 0.193
0.852 0.320 0.638
0.468 0.148 0.638
0.680 0.532 0.638
0.852 0.532 0.138
0.680 0.148 0.138
0.468 0.320 0.138
0.447 0.256 0.026
0.809 0.553 0.026
0.744 0.191 0.026
0.447 0.191 0.526
0.744 0.553 0.526
0.809 0.256 0.526
0.519 0.654 0.971
0.135 0.481 0.971
0.346 0.865 0.971
0.519 0.865 0.471
0.346 0.481 0.471
0.135 0.654 0.471
0.113 0.589 0.360
0.476 0.887 0.360
0.411 0.524 0.360
0.113 0.524 0.860
0.411 0.887 0.860
0.476 0.589 0.860
0.990 0.757 0.406
0.767 0.010 0.406
0.243 0.233 0.406
0.990 0.233 0.906
0.243 0.010 0.906
0.767 0.757 0.906
0.921 0.114 0.589
0.193 0.079 0.589
0.886 0.807 0.589
0.921 0.807 0.089
0.886 0.079 0.089
0.193 0.114 0.089
0.657 0.090 0.739
0.434 0.343 0.739
0.910 0.566 0.739
0.657 0.566 0.239
0.910 0.343 0.239
0.434 0.090 0.239
0.588 0.448 0.923
0.860 0.412 0.923
0.552 0.140 0.923
0.588 0.140 0.423
0.552 0.412 0.423
0.860 0.448 0.423
0.323 0.424 0.072
0.100 0.677 0.072
0.576 0.900 0.072
0.323 0.900 0.572
0.576 0.677 0.572
0.100 0.424 0.572
0.255 0.781 0.256
0.526 0.745 0.256
0.219 0.474 0.256
0.255 0.474 0.756
0.219 0.745 0.756
0.526 0.781 0.756
```

Results
* raw total energy: -631.36 eV/cell
* total magnetic moment: 0.00 Bohr magnetons per cell
* energy relative to the elements: -199.0 kJ per mole of atoms

# 3
Material: CaSiGe3S5O24
Method: DFT, PBE-GGA
State: optimized geometry

```
CaSiGe3S5O24
1.0
-7.703 2.786 -2.823
4.737 -5.305 -4.889
-9.820 -17.597 9.717
Ca Si Ge S O
3 3 9 15 72
Direct
0.999 0.998 0.362
0.666 0.335 0.690
0.665 0.332 0.182
0.669 0.635 0.582
0.046 0.379 0.916
0.331 0.952 0.916
0.012 0.011 0.861
0.988 0.988 0.649
0.002 0.001 0.145
0.669 0.325 0.971
0.671 0.343 0.486
0.320 0.662 0.013
0.337 0.667 0.523
0.334 0.667 0.312
0.323 0.671 0.818
0.287 0.989 0.251
0.701 0.713 0.251
0.012 0.298 0.251
0.275 0.289 0.752
0.013 0.726 0.754
0.710 0.984 0.755
0.966 0.334 0.581
0.367 0.036 0.581
0.968 0.634 0.081
0.663 0.026 0.081
0.367 0.339 0.080
0.622 0.666 0.917
0.608 0.960 0.420
0.348 0.392 0.419
0.046 0.650 0.420
0.207 0.015 0.304
0.806 0.793 0.304
0.987 0.193 0.304
0.187 0.170 0.805
0.981 0.814 0.806
0.829 0.013 0.807
0.788 0.954 0.697
0.161 0.208 0.694
0.048 0.838 0.697
0.780 0.828 0.195
0.047 0.219 0.194
0.171 0.951 0.194
0.898 0.375 0.634
0.479 0.099 0.634
0.616 0.514 0.640
0.901 0.531 0.135
0.626 0.092 0.135
0.468 0.373 0.135
0.448 0.298 0.028
0.848 0.553 0.028
0.705 0.149 0.028
0.450 0.153 0.526
0.712 0.544 0.522
0.844 0.289 0.526
0.546 0.705 0.971
0.174 0.459 0.975
0.298 0.831 0.976
0.520 0.841 0.472
0.314 0.479 0.471
0.164 0.683 0.473
0.125 0.620 0.363
0.498 0.882 0.363
0.381 0.503 0.363
0.132 0.505 0.856
0.385 0.875 0.857
0.506 0.624 0.862
0.028 0.806 0.417
0.782 0.977 0.417
0.192 0.218 0.416
0.014 0.180 0.906
0.154 0.967 0.905
0.800 0.826 0.908
0.989 0.175 0.588
0.190 0.022 0.588
0.851 0.834 0.592
0.984 0.818 0.089
0.833 0.014 0.089
0.182 0.170 0.088
0.694 0.142 0.749
0.446 0.301 0.748
0.858 0.551 0.749
0.673 0.535 0.243
0.862 0.326 0.243
0.464 0.139 0.243
0.639 0.504 0.926
0.855 0.368 0.929
0.501 0.153 0.928
0.623 0.141 0.428
0.512 0.375 0.426
0.868 0.481 0.426
0.351 0.502 0.071
0.149 0.655 0.073
0.506 0.843 0.069
0.340 0.852 0.569
0.495 0.656 0.568
0.142 0.497 0.569
0.298 0.817 0.257
0.518 0.702 0.257
0.183 0.481 0.257
0.291 0.469 0.759
0.182 0.716 0.758
0.533 0.815 0.760
```

Results
* raw total energy: -635.74 eV/cell
* symmetry: P1, No. 1
* total magnetic moment: 0.17 Bohr magnetons per cell
* energy relative to the elements: -192.0 kJ per mole of atoms

# 4
Material: Ca3Ge3Sb2O12
Method: DFT, PBE-GGA
State: optimized geometry

```
Ca3Ge3Sb2O12
1.0
-6.510 6.510 6.510
6.510 -6.510 6.510
6.510 6.510 -6.510
Ca Ge Sb O
12 12 8 48
Direct
0.250 0.875 0.625
0.750 0.625 0.875
0.625 0.875 0.750
0.875 0.625 0.250
0.625 0.250 0.875
0.875 0.750 0.625
0.750 0.125 0.375
0.250 0.375 0.125
0.375 0.125 0.250
0.125 0.375 0.750
0.375 0.750 0.125
0.125 0.250 0.375
0.125 0.750 0.875
0.875 0.250 0.125
0.625 0.375 0.250
0.750 0.875 0.125
0.875 0.125 0.750
0.250 0.625 0.375
0.750 0.375 0.625
0.250 0.125 0.875
0.125 0.875 0.250
0.375 0.625 0.750
0.625 0.750 0.375
0.375 0.250 0.625
0.500 0.500 0.500
0.500 0.000 0.500
0.000 0.500 0.500
0.500 0.500 0.000
0.000 0.000 0.500
0.000 0.500 0.000
0.500 0.000 0.000
0.000 0.000 0.000
0.408 0.803 0.781
0.873 0.395 0.092
0.105 0.978 0.697
0.522 0.627 0.719
0.697 0.092 0.719
0.627 0.719 0.522
0.627 0.408 0.105
0.719 0.522 0.627
0.803 0.522 0.395
0.978 0.781 0.873
0.781 0.873 0.978
0.719 0.697 0.092
0.408 0.105 0.627
0.395 0.803 0.522
0.092 0.719 0.697
0.105 0.627 0.408
0.522 0.395 0.803
0.092 0.873 0.395
0.978 0.697 0.105
0.197 0.478 0.605
0.697 0.105 0.978
0.781 0.408 0.803
0.395 0.092 0.873
0.873 0.978 0.781
0.592 0.197 0.219
0.127 0.605 0.908
0.895 0.022 0.303
0.478 0.373 0.281
0.303 0.908 0.281
0.373 0.281 0.478
0.373 0.592 0.895
0.281 0.478 0.373
0.127 0.022 0.219
0.605 0.908 0.127
0.219 0.592 0.197
0.197 0.219 0.592
0.303 0.895 0.022
0.022 0.303 0.895
0.908 0.127 0.605
0.478 0.605 0.197
0.895 0.373 0.592
0.908 0.281 0.303
0.605 0.197 0.478
0.592 0.895 0.373
0.281 0.303 0.908
0.219 0.127 0.022
0.022 0.219 0.127
0.803 0.781 0.408
```

Results
* raw total energy: -511.81 eV/cell
* symmetry: Ia-3d, No. 230
* total magnetic moment: 0.00 Bohr magnetons per cell
* energy relative to the elements: -234.8 kJ per mole of atoms

# 5
Material: Ca3Ti3Si2GeO15
Method: DFT, PBE-GGA
State: optimized geometry

```
Ca3Ti3Si2GeO15
1.0
-6.362 0.630 -2.023
-0.980 -1.098 -7.035
-4.018 -25.798 4.568
Ca Ti Si Ge O
12 12 8 4 60
Direct
0.754 0.747 0.975
0.754 0.747 0.641
0.754 0.747 0.308
0.246 0.753 0.808
0.246 0.755 0.474
0.246 0.755 0.141
0.244 0.256 0.692
0.244 0.255 0.360
0.244 0.256 0.027
0.756 0.244 0.859
0.755 0.244 0.525
0.755 0.244 0.192
0.253 0.003 0.919
0.253 0.005 0.584
0.253 0.005 0.251
0.746 0.498 0.752
0.750 0.497 0.419
0.750 0.497 0.086
0.752 0.991 0.749
0.748 0.994 0.417
0.748 0.993 0.083
0.249 0.509 0.916
0.248 0.509 0.581
0.248 0.509 0.248
0.251 0.250 0.477
0.251 0.250 0.144
0.252 0.751 0.690
0.252 0.750 0.357
0.252 0.750 0.024
0.748 0.750 0.857
0.749 0.749 0.524
0.748 0.750 0.191
0.749 0.250 0.978
0.749 0.250 0.643
0.749 0.249 0.311
0.251 0.250 0.811
0.353 0.880 0.988
0.353 0.880 0.654
0.352 0.880 0.321
0.646 0.621 0.821
0.647 0.620 0.488
0.647 0.620 0.155
0.639 0.109 0.680
0.638 0.109 0.347
0.637 0.110 0.014
0.362 0.391 0.847
0.352 0.382 0.512
0.352 0.382 0.179
0.561 0.415 0.934
0.560 0.413 0.600
0.560 0.413 0.267
0.440 0.085 0.767
0.436 0.099 0.437
0.436 0.099 0.104
0.437 0.599 0.729
0.438 0.599 0.396
0.438 0.599 0.063
0.563 0.901 0.897
0.564 0.901 0.563
0.564 0.901 0.230
0.241 0.249 0.940
0.242 0.249 0.606
0.241 0.249 0.273
0.758 0.250 0.773
0.758 0.250 0.439
0.758 0.250 0.106
0.759 0.749 0.727
0.759 0.749 0.395
0.759 0.749 0.062
0.241 0.751 0.894
0.242 0.750 0.559
0.242 0.750 0.226
0.150 0.101 0.847
0.159 0.111 0.512
0.159 0.111 0.178
0.849 0.400 0.680
0.851 0.399 0.347
0.852 0.399 0.014
0.841 0.888 0.822
0.841 0.888 0.488
0.841 0.888 0.155
0.159 0.611 0.989
0.160 0.611 0.654
0.160 0.611 0.321
0.936 0.588 0.894
0.935 0.589 0.561
0.936 0.589 0.228
0.063 0.911 0.727
0.062 0.911 0.394
0.063 0.911 0.061
0.058 0.426 0.770
0.063 0.410 0.439
0.063 0.410 0.106
0.941 0.073 0.937
0.942 0.075 0.602
0.942 0.075 0.269
```

Results
* raw total energy: -756.21 eV/cell
* symmetry: P1, No. 1
* total magnetic moment: 0.00 Bohr magnetons per cell
* energy relative to the elements: -321.5 kJ per mole of atoms